Record 1
This record from the Materials Project describes a geometry-optimized Ti3Mn2CoP6O24 structure. The functional is PBE+U.

Properties
magnetization = 0.36 μB per atom
space-group type = No. 146
volume = 459 Å³ per cell

Unit cell a=8.6567 b=8.6567 c=8.6567 alpha=60.04 beta=60.04 gamma=60.04
Closest atoms and distances in Å follow each position.
Sites, in units of the cell vectors:
Ti (0.0000, 0.0000, 0.0000)  6 O 1.91-2.06
Ti (0.2103, 0.2103, 0.2103)  6 O 1.89-2.04
Ti (0.5029, 0.5029, 0.5029)  6 O 1.88-2.09
Mn (0.3556, 0.3556, 0.3556)  6 O 2.27-2.29
Mn (0.8522, 0.8522, 0.8522)  6 O 2.19-2.31
Co (0.7118, 0.7118, 0.7118)  6 O 1.97-2.12
P (0.1064, 0.8132, 0.3984)  4 O 1.53-1.56
P (0.3147, 0.6076, 0.9000)  4 O 1.50-1.57
P (0.3984, 0.1064, 0.8132)  4 O 1.53-1.56
P (0.6076, 0.9000, 0.3147)  4 O 1.50-1.57
P (0.8132, 0.3984, 0.1064)  4 O 1.53-1.56
P (0.9000, 0.3147, 0.6076)  4 O 1.50-1.57
O (0.0500, 0.8560, 0.2336)  1 P 1.55
O (0.0919, 0.2918, 0.4400)  1 P 1.57
O (0.1189, 0.7700, 0.9146)  1 P 1.56
O (0.1696, 0.9753, 0.3499)  1 P 1.55
O (0.2336, 0.0500, 0.8560)  1 P 1.55
O (0.2735, 0.6213, 0.4103)  1 P 1.56
O (0.2918, 0.4400, 0.0919)  1 P 1.57
O (0.3499, 0.1696, 0.9753)  1 P 1.55
O (0.3562, 0.5495, 0.7345)  1 P 1.57
O (0.4103, 0.2735, 0.6213)  1 P 1.56
O (0.4400, 0.0919, 0.2918)  1 P 1.57
O (0.4703, 0.6620, 0.8687)  1 P 1.50
O (0.5495, 0.7345, 0.3562)  1 P 1.57
O (0.5892, 0.9466, 0.8023)  1 P 1.53
O (0.6213, 0.4103, 0.2735)  1 P 1.56
O (0.6620, 0.8687, 0.4703)  1 P 1.50
O (0.7345, 0.3562, 0.5495)  1 P 1.57
O (0.7700, 0.9146, 0.1189)  1 P 1.56
O (0.8023, 0.5892, 0.9466)  1 P 1.53
O (0.8560, 0.2336, 0.0500)  1 P 1.55
O (0.8687, 0.4703, 0.6620)  1 P 1.50
O (0.9146, 0.1189, 0.7700)  1 P 1.56
O (0.9466, 0.8023, 0.5892)  1 P 1.53
O (0.9753, 0.3499, 0.1696)  1 P 1.55

Record 2
This record from the Materials Project describes a geometry-optimized SrTbEuVO6 structure. The functional is PBE+U.

Properties
space-group type = No. 216
volume = 146 Å³ per cell

Unit cell a=5.9053 b=5.9053 c=5.9053 alpha=60.00 beta=60.00 gamma=60.00
Closest atoms and distances in Å follow each position.
Sites, in units of the cell vectors:
Sr (0.0000, 0.0000, 0.0000)  12 O 2.96
Tb (0.2500, 0.2500, 0.2500)  6 O 2.24
Eu (0.5000, 0.5000, 0.5000)  12 O 2.96
V (0.7500, 0.7500, 0.7500)  6 O 1.93
O (0.5188, 0.5188, 0.9812)  1 V 1.93
O (0.5188, 0.9812, 0.5188)  1 V 1.93
O (0.5188, 0.9812, 0.9812)  1 V 1.93
O (0.9812, 0.5188, 0.5188)  1 V 1.93
O (0.9812, 0.5188, 0.9812)  1 V 1.93
O (0.9812, 0.9812, 0.5188)  1 V 1.93

Record 3
This record from the Materials Project describes a geometry-optimized FeRePb2O6 structure. The functional is PBE+U.

Properties
magnetization = 0.30 μB per atom
space-group type = No. 5
volume = 130 Å³ per cell

Unit cell a=5.6882 b=5.6882 c=5.6846 alpha=119.89 beta=119.89 gamma=90.19
Closest atoms and distances in Å follow each position.
Sites, in units of the cell vectors:
Fe (0.0000, 0.0000, 0.0000)  6 O 2.00-2.14
Re (0.5057, 0.4943, 0.0000)  6 O 1.94-1.98
Pb (0.2326, 0.7674, 0.5000)  8 O 2.60-2.85
Pb (0.7327, 0.2673, 0.5000)  8 O 2.61-2.86
O (0.2593, 0.2290, 0.5102)  1 Re 1.98, 1 Fe 2.06
O (0.2654, 0.7346, 0.0000)  1 Re 1.94, 1 Fe 2.14
O (0.2807, 0.2510, 0.0216)  1 Re 1.97, 1 Fe 2.05
O (0.7490, 0.7193, 0.9784)  1 Re 1.97, 1 Fe 2.05
O (0.7518, 0.2482, 0.0000)  1 Re 1.98, 1 Fe 2.00
O (0.7710, 0.7407, 0.4898)  1 Re 1.98, 1 Fe 2.06

Record 4
This record from the Materials Project describes a geometry-optimized Na7Mn16O32 structure. The functional is PBE+U.

Properties
magnetization = 1.00 μB per atom
offset from the most stable computed form = 4.15 eV/f.u.
space-group type = No. 121
volume = 603 Å³ per cell

Unit cell a=10.3266 b=10.3266 c=10.3266 alpha=131.62 beta=131.62 gamma=70.84
Closest atoms and distances in Å follow each position.
Sites, in units of the cell vectors:
Na (0.0000, 0.0000, 0.0000)  4 O 2.12
Na (0.1306, 0.1306, 0.5076)  4 O 2.11-2.16
Na (0.2500, 0.7500, 0.5000)  4 O 2.12
Na (0.3770, 0.8694, 0.0000)  4 O 2.11-2.16
Na (0.6230, 0.6230, 0.4924)  4 O 2.11-2.16
Na (0.7500, 0.2500, 0.5000)  4 O 2.12
Na (0.8694, 0.3770, 0.0000)  4 O 2.11-2.16
Mn (0.0626, 0.0626, 0.7510)  6 O 1.95-1.97
Mn (0.0666, 0.5618, 0.7520)  6 O 1.94-1.98
Mn (0.1890, 0.4389, 0.0000)  6 O 1.95-1.99
Mn (0.1903, 0.4382, 0.5048)  6 O 1.94-1.98
Mn (0.3116, 0.3116, 0.2490)  6 O 1.95-1.97
Mn (0.3146, 0.8097, 0.2480)  6 O 1.94-1.98
Mn (0.4382, 0.1903, 0.5048)  6 O 1.94-1.98
Mn (0.4389, 0.1890, 0.0000)  6 O 1.95-1.99
Mn (0.5611, 0.5611, 0.7501)  6 O 1.95-1.99
Mn (0.5618, 0.0666, 0.7520)  6 O 1.94-1.98
Mn (0.6854, 0.9334, 0.4952)  6 O 1.94-1.98
Mn (0.6884, 0.9374, 0.0000)  6 O 1.95-1.97
Mn (0.8097, 0.3146, 0.2480)  6 O 1.94-1.98
Mn (0.8110, 0.8110, 0.2499)  6 O 1.95-1.99
Mn (0.9334, 0.6854, 0.4952)  6 O 1.94-1.98
Mn (0.9374, 0.6884, 0.0000)  6 O 1.95-1.97
O (0.0316, 0.8227, 0.4988)  3 Mn 1.95-1.97, 1 Na 2.12
O (0.0516, 0.3425, 0.4992)  3 Mn 1.94-1.98, 1 Na 2.11
O (0.0752, 0.7822, 0.0000)  3 Mn 1.96-1.97, 1 Na 2.12
O (0.0904, 0.3025, 0.0000)  3 Mn 1.96-1.99, 1 Na 2.16
O (0.1568, 0.6575, 0.7092)  3 Mn 1.94-1.98, 1 Na 2.11
O (0.1773, 0.6762, 0.2090)  3 Mn 1.95-1.97, 1 Na 2.12
O (0.1971, 0.1971, 0.7902)  3 Mn 1.95-1.96, 1 Na 2.11
O (0.2178, 0.2178, 0.2930)  3 Mn 1.96-1.97, 1 Na 2.12
O (0.2876, 0.5709, 0.0000)  3 Mn 1.95-1.96
O (0.3025, 0.0904, 0.0000)  3 Mn 1.96-1.99, 1 Na 2.16
O (0.3238, 0.5328, 0.5012)  3 Mn 1.95-1.97, 1 Na 2.12
O (0.3425, 0.0516, 0.4992)  3 Mn 1.94-1.98, 1 Na 2.11
O (0.4069, 0.4069, 0.2098)  3 Mn 1.95-1.96, 1 Na 2.11
O (0.4291, 0.4291, 0.7167)  3 Mn 1.95-1.96
O (0.4476, 0.9484, 0.2908)  3 Mn 1.94-1.98, 1 Na 2.11
O (0.4672, 0.9684, 0.7910)  3 Mn 1.95-1.97, 1 Na 2.12
O (0.5328, 0.3238, 0.5012)  3 Mn 1.95-1.97, 1 Na 2.12
O (0.5524, 0.8432, 0.5008)  3 Mn 1.94-1.98, 1 Na 2.11
O (0.5709, 0.2876, 0.0000)  3 Mn 1.95-1.96
O (0.5931, 0.8029, 0.0000)  3 Mn 1.95-1.96, 1 Na 2.11
O (0.6575, 0.1568, 0.7092)  3 Mn 1.94-1.98, 1 Na 2.11
O (0.6762, 0.1773, 0.2090)  3 Mn 1.95-1.97, 1 Na 2.12
O (0.6975, 0.6975, 0.7880)  3 Mn 1.96-1.99, 1 Na 2.16
O (0.7124, 0.7124, 0.2833)  3 Mn 1.95-1.96
O (0.7822, 0.0752, 0.0000)  3 Mn 1.96-1.97, 1 Na 2.12
O (0.8029, 0.5931, 0.0000)  3 Mn 1.95-1.96, 1 Na 2.11
O (0.8227, 0.0316, 0.4988)  3 Mn 1.95-1.97, 1 Na 2.12
O (0.8432, 0.5524, 0.5008)  3 Mn 1.94-1.98, 1 Na 2.11
O (0.9096, 0.9096, 0.2120)  3 Mn 1.96-1.99, 1 Na 2.16
O (0.9248, 0.9248, 0.7070)  3 Mn 1.96-1.97, 1 Na 2.12
O (0.9484, 0.4476, 0.2908)  3 Mn 1.94-1.98, 1 Na 2.11
O (0.9684, 0.4672, 0.7910)  3 Mn 1.95-1.97, 1 Na 2.12

| no. | density (g/cm³) | energy relative to the elements (meV per atom) |
| --- | --- | --- |
| 1 | 3.2 | -2788.0 |
| 2 | 6.2 | -3121.5 |
| 3 | 9.6 | -1673.6 |
| 4 | 4.3 | -1854.9 |